1.
50
Lattice="-6.0403 -5.7636 1.2268 3.6600 0.7475 7.5781 -4.5620 8.7901 -2.0673" Properties=species:S:1:pos:R:3 comment="Na5Ni2P2C2O14 PBE with a Hubbard U optimized geometry" vol_a3_per_cell=611.0 dft_energy_ev_per_atom=-6.24 ef_ev_per_atom=-2.157 sg="P-1 (2)" relative_energy_mev_per_atom=4.2 crystal_system=triclinic pbc="T T T"
Na -4.5791 3.9002 2.7914
O -5.6201 -0.0857 5.2273
Na -1.9798 5.6691 4.3515
Na -1.1990 2.2611 -0.3921
C -3.0210 -3.4433 4.6815
C -1.8413 -0.9494 0.2998
Ni -3.3964 3.1196 5.4928
O -4.9258 -0.5744 0.2304
O -0.0758 2.7400 3.4177
O -5.0376 2.2678 4.4987
Na 0.0149 1.3784 5.4290
O 1.4931 0.8861 7.2514
O -1.3222 3.8597 1.5103
O -2.4645 -1.1514 1.4306
O -2.0164 4.3483 6.5073
O -3.8873 4.7955 0.1187
O -1.9070 7.7392 5.3741
O -6.7111 4.5415 2.1471
O -0.2312 -0.7675 4.5906
P -4.2923 3.3842 -0.3978
C -3.9212 7.2173 2.0561
Na -5.7432 1.5129 7.1297
Na -6.1409 5.6523 0.1171
Ni -3.5458 0.6544 1.2449
O -3.6126 6.1218 2.7031
O -5.0352 -3.9652 1.3635
O -4.4777 4.9254 5.3070
Na -2.3632 -0.1262 3.9462
O -3.0549 -1.0215 6.6189
P -2.6500 0.3898 7.1354
O 0.4072 3.5437 6.2108
O -4.4492 0.2680 3.0252
C -5.1009 4.7233 6.4378
O -2.4849 1.3540 5.9205
O -2.4930 3.5060 3.7125
O -3.3166 7.3923 0.9281
O -7.3494 0.2303 0.5268
P -1.4556 2.8927 2.7414
Na -0.8014 -1.8783 6.6206
O -3.6257 -3.6183 5.8096
O -1.9047 1.5061 2.2390
Ni -4.7170 -1.8390 5.6388
Na -6.9572 2.3956 1.3086
O -4.4574 2.4200 0.8171
P -5.4867 0.8813 3.9962
O -3.3297 -2.3478 4.0345
O -8.4354 2.8879 -0.5138
Ni -2.2252 5.6130 1.0988
O -6.8664 1.0340 3.3199
Na -4.9625 -1.8951 2.3861


2.
50
Lattice="-0.7662 6.4471 -0.9914 -10.1272 -1.2682 -0.0761 4.7862 1.9635 9.0669" Properties=species:S:1:pos:R:3 comment="Na5Ni2P2C2O14 PBE with a Hubbard U optimized geometry" vol_a3_per_cell=612.0 dft_energy_ev_per_atom=-6.22 ef_ev_per_atom=-2.139 sg="P1 (1)" relative_energy_mev_per_atom=22.4 crystal_system=triclinic pbc="T T T"
O -0.6888 1.0835 4.9238
O -8.4483 4.2764 1.9792
Na -7.0681 5.9607 1.1390
O -5.7800 4.3157 -0.2196
Na -1.8121 3.3329 1.9329
Na -4.5536 6.8179 5.6726
O 0.6885 5.7150 4.0724
O -2.7503 1.8975 3.7131
O -5.1857 3.6501 3.3958
O -0.2989 2.8761 8.2309
O -1.1986 5.8214 6.3637
O -7.9456 0.8613 1.1435
O -5.5038 1.8031 5.7115
Ni -4.7095 1.6737 3.7055
Na 0.8885 1.2132 6.7937
Na -6.6918 2.7982 1.5960
O -1.6783 4.7256 -0.4787
Ni -3.7703 4.5225 -0.2065
O -2.9936 0.1155 0.4019
O 2.3926 2.8748 6.0402
Ni -1.4070 5.5005 4.3260
Na 0.5247 4.2748 6.3213
P -4.3757 4.9513 3.1104
Na -1.4447 0.2621 2.4004
O -0.0563 1.8858 1.4994
P -4.1060 1.2126 0.3475
Na -7.1123 4.7369 4.3874
C -9.1410 0.6200 0.6859
O -2.7439 4.6400 8.0869
O -5.4866 6.0539 3.0650
C -6.6878 1.6202 5.2249
O -0.5542 5.2867 2.2755
O -0.9890 3.5065 4.5715
P -1.7717 2.2063 4.9021
O -6.7446 1.4666 3.9343
O -4.4530 2.3517 8.4772
P -1.9891 5.9357 7.6843
Na -9.5148 3.7374 -0.2342
O -3.3858 5.2854 4.2587
C 0.6226 5.5155 2.7842
O -4.9029 1.3119 1.6638
O -2.5493 2.2759 6.2202
O -3.2956 2.5144 0.0429
O -3.0886 7.0404 7.6127
O -3.5692 4.8566 1.7956
Na 3.4427 3.3875 8.1465
C 2.9973 6.5274 7.2929
O 1.8001 6.2600 6.8300
Ni -2.3562 2.6346 8.1729
O -6.1179 5.3555 6.4565


3.
50
Lattice="-3.4169 7.2171 -2.6404 -4.3626 -5.9130 -4.1446 -5.7973 -0.3524 6.8183" Properties=species:S:1:pos:R:3 comment="Na5Ni2P2C2O14 PBE with a Hubbard U optimized geometry" vol_a3_per_cell=617.3 dft_energy_ev_per_atom=-6.24 ef_ev_per_atom=-2.162 sg="P-1 (2)" relative_energy_mev_per_atom=0.0 crystal_system=triclinic pbc="T T T"
O -6.5684 -1.7496 5.2238
O -4.7551 1.8711 1.2529
Ni -6.4203 5.6134 -1.1553
O -5.8829 -1.2388 -0.1816
Na -5.5755 -4.1353 -4.1038
O -6.8450 -3.0200 -2.3527
Ni -6.6650 1.9376 1.9577
O -8.6700 2.5147 -2.1030
Na -8.0014 5.0871 4.1370
O -10.6788 -1.1545 1.6604
Na -4.5535 -2.9251 -1.1168
P -6.2343 -1.3788 1.3204
O -8.8218 -0.9194 -1.2196
O -7.6939 2.1905 0.2149
C -12.0038 2.4255 0.6398
Na -9.2773 -2.6502 0.4887
O -2.8582 -1.3613 -0.6913
P -10.1493 -0.7313 -2.0258
P -3.4276 1.6830 2.0591
Na -4.4298 0.4410 -0.9853
O -6.9696 -0.1232 1.8577
C -8.0233 1.7964 4.1030
O -6.6073 1.0749 -1.8245
Na -4.2996 3.6020 -0.4555
C -5.5535 -0.8446 -4.0697
O -4.5134 5.5664 -2.0356
O -6.7172 1.6997 4.1279
O -5.4522 5.3356 0.6218
Na -9.0233 3.8769 1.1501
O -6.8597 -0.7479 -4.0946
Na -5.2849 -0.1585 4.0648
C -1.5731 -1.4737 -0.6065
Ni -6.9119 -0.9858 -1.9244
O -9.0635 -4.6147 2.0688
O -5.0209 -1.0111 -2.9034
O -7.0085 2.7014 -5.1905
O -6.7319 3.9717 2.3860
O -8.5560 1.9628 2.9366
Na -9.1471 0.5108 1.0186
O -10.7187 2.3131 0.7245
O -2.6473 0.4502 1.5114
O -2.8981 2.1062 -1.6271
O -8.1247 -4.3838 -0.5885
Ni -7.1566 -4.6617 1.1886
O -7.1493 -2.6053 1.5727
O -4.9069 -1.5629 2.1362
O -6.4276 3.5571 -1.5394
Na -8.2920 1.1103 -4.0315
O -10.9296 0.5016 -1.4781
P -7.3426 2.3305 -1.2872